1.
Entry from Materials Project: a geometry-optimized Ba2YCu3Pb2O8 structure (PBE).

Energy relative to the elements = -2042 meV per atom
V = 15.8 A^3/atom
E above lowest polymorph = 0.000 eV/atom
Space group = P222_1
Crystal system = orthorhombic

Cell: 5.499 16.569 5.561 Å, 90.00 90.00 90.00°
Element x y z (fractional)
Ba 0.250 0.223 0.002
Ba 0.250 0.777 0.998
Ba 0.750 0.223 0.498
Ba 0.750 0.777 0.502
Y 0.250 0.000 0.000
Y 0.750 0.000 0.500
Cu 0.232 0.500 0.000
Cu 0.250 0.099 0.500
Cu 0.250 0.901 0.500
Cu 0.750 0.099 0.000
Cu 0.750 0.901 0.000
Cu 0.768 0.500 0.500
Pb 0.239 0.390 0.491
Pb 0.239 0.610 0.509
Pb 0.761 0.390 0.009
Pb 0.761 0.610 0.991
O 0.000 0.087 0.750
O 0.000 0.088 0.250
O 0.000 0.912 0.750
O 0.000 0.913 0.250
O 0.217 0.391 0.070
O 0.217 0.609 0.930
O 0.252 0.256 0.506
O 0.252 0.744 0.494
O 0.500 0.087 0.750
O 0.500 0.088 0.250
O 0.500 0.912 0.750
O 0.500 0.913 0.250
O 0.748 0.256 0.994
O 0.748 0.744 0.006
O 0.783 0.391 0.430
O 0.783 0.609 0.570

2.
Entry from Materials Project: a geometry-optimized ScH3O3 structure (PBE).

Energy relative to the elements = -2227 meV per atom
V = 8.9 A^3/atom
Space group = R-3
Crystal system = trigonal

Cell: 6.842 6.842 6.842 Å, 109.26 109.26 109.26°
Element x y z (fractional)
Sc 0.000 0.000 0.000
Sc 0.000 0.500 0.500
Sc 0.500 0.000 0.500
Sc 0.500 0.500 0.000
H 0.047 0.323 0.873
H 0.127 0.953 0.677
H 0.194 0.542 0.236
H 0.236 0.194 0.542
H 0.323 0.873 0.047
H 0.458 0.764 0.806
H 0.542 0.236 0.194
H 0.677 0.127 0.953
H 0.764 0.806 0.458
H 0.806 0.458 0.764
H 0.873 0.047 0.323
H 0.953 0.677 0.127
O 0.002 0.174 0.326
O 0.174 0.326 0.002
O 0.187 0.667 0.358
O 0.326 0.002 0.174
O 0.333 0.642 0.813
O 0.358 0.187 0.667
O 0.642 0.813 0.333
O 0.667 0.358 0.187
O 0.674 0.998 0.826
O 0.813 0.333 0.642
O 0.826 0.674 0.998
O 0.998 0.826 0.674

3.
Entry from Materials Project: a geometry-optimized Mg6AlBi structure (PBE).

Energy relative to the elements = 7 meV per atom
V = 23.2 A^3/atom
E above lowest polymorph = 0.003 eV/atom

Cell: 5.324 6.292 11.088 Å, 90.00 90.00 90.00°
Element x y z (fractional)
Mg 0.000 0.745 0.582
Mg 0.000 0.255 0.582
Mg 0.000 0.500 0.832
Mg 0.500 0.246 0.914
Mg 0.500 0.754 0.914
Mg 0.500 0.500 0.668
Mg 0.000 0.245 0.082
Mg 0.000 0.755 0.082
Mg 0.000 0.000 0.332
Mg 0.500 0.746 0.414
Mg 0.500 0.254 0.414
Mg 0.500 0.000 0.168
Al 0.000 0.000 0.843
Al 0.000 0.500 0.343
Bi 0.500 0.000 0.665
Bi 0.500 0.500 0.165

4.
Entry from Materials Project: a geometry-optimized Tl2Cd3Sb3 structure (PBE).

Energy relative to the elements = -139 meV per atom
V = 30.8 A^3/atom
Space group = C2/m
Crystal system = monoclinic

Cell: 9.144 9.144 12.129 Å, 111.12 111.12 31.62°
Element x y z (fractional)
Tl 0.178 0.178 0.389
Tl 0.312 0.312 0.112
Tl 0.688 0.688 0.888
Tl 0.822 0.822 0.611
Cd 0.054 0.054 0.773
Cd 0.367 0.367 0.840
Cd 0.394 0.394 0.428
Cd 0.606 0.606 0.572
Cd 0.633 0.633 0.160
Cd 0.946 0.946 0.227
Sb 0.087 0.087 0.028
Sb 0.192 0.192 0.686
Sb 0.467 0.467 0.685
Sb 0.533 0.533 0.315
Sb 0.808 0.808 0.314
Sb 0.913 0.913 0.972

5.
Entry from Materials Project: a geometry-optimized CaCoSi structure (PBE).

Energy relative to the elements = -509 meV per atom
V = 18.5 A^3/atom
Space group = P4/nmm
Crystal system = tetragonal

Cell: 3.949 3.949 7.126 Å, 90.00 90.00 90.00°
Element x y z (fractional)
Ca 0.250 0.250 0.177
Ca 0.750 0.750 0.823
Co 0.250 0.750 0.500
Co 0.750 0.250 0.500
Si 0.250 0.250 0.667
Si 0.750 0.750 0.333

6.
Entry from Materials Project: a geometry-optimized Ca3SbN structure (PBE).

Energy relative to the elements = -1165 meV per atom
V = 23.2 A^3/atom
Space group = Pm-3m
Crystal system = cubic

Cell: 4.874 4.874 4.874 Å, 90.00 90.00 90.00°
Element x y z (fractional)
Ca 0.000 0.000 0.500
Ca 0.000 0.500 0.000
Ca 0.500 0.000 0.000
Sb 0.500 0.500 0.500
N 0.000 0.000 0.000

7.
Entry from Materials Project: a geometry-optimized K6Si2O7 structure (PBE).

Energy relative to the elements = -2487 meV per atom
V = 17.7 A^3/atom
Space group = P2_1/c
Crystal system = monoclinic

Cell: 6.533 8.986 11.034 Å, 90.00 124.79 90.00°
Element x y z (fractional)
K 0.030 0.149 0.415
K 0.030 0.351 0.915
K 0.208 0.527 0.456
K 0.208 0.973 0.956
K 0.395 0.218 0.276
K 0.395 0.282 0.776
K 0.605 0.718 0.224
K 0.605 0.782 0.724
K 0.792 0.027 0.044
K 0.792 0.473 0.544
K 0.970 0.649 0.085
K 0.970 0.851 0.585
Si 0.326 0.636 0.874
Si 0.326 0.864 0.374
Si 0.674 0.136 0.626
Si 0.674 0.364 0.126
O 0.074 0.658 0.873
O 0.074 0.842 0.373
O 0.259 0.581 0.713
O 0.259 0.919 0.213
O 0.495 0.215 0.065
O 0.495 0.285 0.565
O 0.500 0.000 0.500
O 0.500 0.500 0.000
O 0.505 0.715 0.435
O 0.505 0.785 0.935
O 0.741 0.081 0.787
O 0.741 0.419 0.287
O 0.926 0.158 0.627
O 0.926 0.342 0.127

8.
Entry from Materials Project: a geometry-optimized LuNbRu2 structure (PBE).

Energy relative to the elements = -433 meV per atom
V = 17.1 A^3/atom
Space group = Fm-3m
Crystal system = cubic

Cell: 4.590 4.590 4.590 Å, 60.00 60.00 60.00°
Element x y z (fractional)
Lu 0.000 0.000 0.000
Nb 0.500 0.500 0.500
Ru 0.250 0.250 0.250
Ru 0.750 0.750 0.750

9.
Entry from Materials Project: a geometry-optimized Ba3Cu17AgP6 structure (PBE).

Energy relative to the elements = -311 meV per atom
V = 16.4 A^3/atom
Space group = C2/m
Crystal system = monoclinic

Cell: 9.198 9.198 10.510 Å, 121.59 121.59 36.67°
Element x y z (fractional)
Ba 0.000 0.000 0.000
Ba 0.334 0.334 0.001
Ba 0.666 0.666 0.999
Cu 0.000 0.000 0.500
Cu 0.057 0.557 0.671
Cu 0.093 0.614 0.322
Cu 0.167 0.167 0.500
Cu 0.211 0.733 0.678
Cu 0.267 0.789 0.322
Cu 0.332 0.332 0.500
Cu 0.386 0.907 0.678
Cu 0.443 0.943 0.329
Cu 0.557 0.057 0.671
Cu 0.614 0.093 0.322
Cu 0.668 0.668 0.500
Cu 0.733 0.211 0.678
Cu 0.789 0.267 0.322
Cu 0.833 0.833 0.500
Cu 0.907 0.386 0.678
Cu 0.943 0.443 0.329
Ag 0.500 0.500 0.500
P 0.098 0.098 0.795
P 0.235 0.235 0.205
P 0.431 0.431 0.795
P 0.569 0.569 0.205
P 0.765 0.765 0.795
P 0.902 0.902 0.205

10.
Entry from Materials Project: a geometry-optimized TeMoWSeS2 structure (PBE).

Energy relative to the elements = -706 meV per atom
V = 29.9 A^3/atom
E above lowest polymorph = 0.055 eV/atom
Space group = P3m1
Crystal system = trigonal

Cell: 3.311 3.311 37.740 Å, 90.00 90.00 120.00°
Element x y z (fractional)
Te 0.000 0.000 0.000
Te 0.000 0.000 0.102
Mo 0.000 0.000 0.863
Mo 0.667 0.333 0.675
W 0.000 0.000 0.239
W 0.667 0.333 0.051
Se 0.667 0.333 0.194
Se 0.667 0.333 0.284
S 0.000 0.000 0.635
S 0.000 0.000 0.716
S 0.667 0.333 0.823
S 0.667 0.333 0.904

11.
Entry from Materials Project: a geometry-optimized WC6N4 structure (PBE).

Energy relative to the elements = 1239 meV per atom
V = 19.6 A^3/atom
Space group = P2_1/m
Crystal system = monoclinic

Cell: 3.953 13.458 8.303 Å, 90.00 102.49 90.00°
Element x y z (fractional)
W 0.051 0.250 0.040
W 0.949 0.750 0.960
C 0.051 0.625 0.856
C 0.051 0.875 0.856
C 0.144 0.750 0.195
C 0.382 0.008 0.749
C 0.382 0.492 0.749
C 0.466 0.250 0.526
C 0.534 0.750 0.474
C 0.618 0.508 0.251
C 0.618 0.992 0.251
C 0.856 0.250 0.805
C 0.949 0.125 0.144
C 0.949 0.375 0.144
N 0.218 0.557 0.801
N 0.218 0.943 0.801
N 0.342 0.750 0.338
N 0.474 0.750 0.956
N 0.526 0.250 0.044
N 0.658 0.250 0.662
N 0.782 0.057 0.199
N 0.782 0.443 0.199

12.
Entry from Materials Project: a geometry-optimized Ca2TiN2 structure (PBE).

Energy relative to the elements = -1169 meV per atom
V = 17.0 A^3/atom
Space group = C2/m
Crystal system = monoclinic

Cell: 6.006 6.006 6.773 Å, 112.43 112.43 50.19°
Element x y z (fractional)
Ca 0.018 0.018 0.252
Ca 0.325 0.325 0.900
Ca 0.675 0.675 0.100
Ca 0.982 0.982 0.748
Ti 0.358 0.358 0.383
Ti 0.642 0.642 0.617
N 0.190 0.190 0.125
N 0.498 0.498 0.711
N 0.502 0.502 0.289
N 0.810 0.810 0.875